1.
A plane-wave DFT calculation with GGA+U was carried out for an optimized crystal structure of Na3Ni2P2C2O14.

Lattice parameters (Å, degrees): 8.8780 10.3616 6.5898 90.00 90.00 88.70
Positions (direct):
Na1 0.2559 0.1223 0.4712
Na2 0.2530 0.6239 0.0118
Na3 0.2509 0.6207 0.4907
Na4 0.7441 0.3777 0.9712
Na5 0.7470 0.8761 0.5118
Na6 0.7491 0.8793 0.9907
Ni1 0.3483 0.3877 0.7530
Ni2 0.3436 0.8932 0.7564
Ni3 0.6517 0.1123 0.2530
Ni4 0.6564 0.6068 0.2564
P1 0.4247 0.3620 0.2530
P2 0.4228 0.8555 0.2521
P3 0.5753 0.1380 0.7530
P4 0.5772 0.6445 0.7521
C1 0.0722 0.3567 0.7476
C2 0.0701 0.8569 0.7479
C3 0.9278 0.1433 0.2476
C4 0.9299 0.6431 0.2479
O1 0.0665 0.1612 0.2491
O2 0.0691 0.6611 0.2497
O3 0.1308 0.4708 0.7533
O4 0.1296 0.9696 0.7447
O5 0.1713 0.2626 0.7409
O6 0.1709 0.7625 0.7503
O7 0.3302 0.4023 0.0647
O8 0.3307 0.4026 0.4404
O9 0.3245 0.8839 0.0642
O10 0.3264 0.8948 0.4388
O11 0.4228 0.0679 0.7425
O12 0.4270 0.5717 0.7504
O13 0.4603 0.2149 0.2589
O14 0.4592 0.7059 0.2586
O15 0.5397 0.2851 0.7589
O16 0.5408 0.7941 0.7586
O17 0.5772 0.4321 0.2425
O18 0.5730 0.9283 0.2504
O19 0.6698 0.0977 0.5647
O20 0.6693 0.0974 0.9404
O21 0.6755 0.6161 0.5642
O22 0.6736 0.6052 0.9388
O23 0.8287 0.2374 0.2409
O24 0.8291 0.7375 0.2503
O25 0.8692 0.0292 0.2533
O26 0.8704 0.5304 0.2447
O27 0.9335 0.3388 0.7491
O28 0.9309 0.8389 0.7497

## Properties
ΔH_f (0 K) = -1.9679 eV/atom
uncorrected energy = -6.289 eV/atom
space group = P2_1, No. 4

=====

2.
A plane-wave DFT calculation with GGA+U was carried out for an optimized crystal structure of V3CoO8.

Lattice parameters (Å, degrees): 8.3456 8.3358 8.3424 90.01 90.00 90.32
Positions (direct):
V1 0.1056 0.6232 0.1297
V2 0.1257 0.3789 0.8828
V3 0.1327 0.1018 0.6365
V4 0.3678 0.8984 0.1365
V5 0.3741 0.6209 0.3821
V6 0.3940 0.3775 0.6301
V7 0.6066 0.8729 0.8786
V8 0.6432 0.1263 0.1089
V9 0.6314 0.3896 0.3687
V10 0.8682 0.6106 0.8682
V11 0.8572 0.8741 0.6086
V12 0.8934 0.1272 0.3787
Co1 0.0046 0.4976 0.5050
Co2 0.4956 0.5021 0.0051
Co3 0.5013 0.0070 0.4935
Co4 0.9989 0.9928 0.9936
O1 0.0989 0.1386 0.3998
O2 0.1095 0.8998 0.6328
O3 0.1059 0.6162 0.8904
O4 0.1344 0.3994 0.0957
O5 0.1162 0.1404 0.8534
O6 0.1373 0.3640 0.6429
O7 0.1336 0.6135 0.3457
O8 0.1503 0.8560 0.1115
O9 0.3498 0.1439 0.6112
O10 0.3664 0.3860 0.8459
O11 0.3629 0.6358 0.1429
O12 0.3840 0.8594 0.3533
O13 0.3652 0.6004 0.5956
O14 0.3943 0.3837 0.3901
O15 0.3903 0.1003 0.1330
O16 0.4010 0.8614 0.8998
O17 0.5988 0.3654 0.6056
O18 0.6115 0.5952 0.3648
O19 0.6089 0.8970 0.1168
O20 0.6320 0.1121 0.9041
O21 0.6110 0.3492 0.1438
O22 0.6429 0.1380 0.3609
O23 0.6426 0.8849 0.6395
O24 0.6526 0.6341 0.8888
O25 0.8470 0.3658 0.3892
O26 0.8577 0.1153 0.1395
O27 0.8571 0.8618 0.8612
O28 0.8893 0.6509 0.6437
O29 0.8679 0.8878 0.4039
O30 0.8910 0.1030 0.6169
O31 0.8884 0.4052 0.8648
O32 0.9009 0.6348 0.1057

## Properties
ΔH_f (0 K) = -2.1337 eV/atom
uncorrected energy = -7.276 eV/atom
space group = P2_1, No. 4

=====

no.,E above lowest polymorph (meV/atom)
1,24
2,78